# 1
{"formula": "NdBRh3", "functional": "PBE-GGA", "state": "relaxed", "lattice_angstrom": [[4.2636, 0.0000, 0.0000], [0.0000, 4.2636, 0.0000], [0.0000, 0.0000, 4.2636]], "species": ["Nd", "B", "Rh", "Rh", "Rh"], "frac_coords": [[0.0000, 0.0000, 0.0000], [0.5000, 0.5000, 0.5000], [0.0000, 0.5000, 0.5000], [0.5000, 0.0000, 0.5000], [0.5000, 0.5000, 0.0000]], "delta_e_f_ev_per_atom": -0.696, "total_energy_ev_per_atom": -7.40}

# 2
{"formula": "NdB2Rh3", "functional": "PBE-GGA", "state": "relaxed", "lattice_angstrom": [[5.5160, 0.0000, 0.0000], [-2.7580, 4.7770, 0.0000], [0.0000, 0.0000, 3.1254]], "species": ["Nd", "B", "B", "Rh", "Rh", "Rh"], "frac_coords": [[0.0000, 0.0000, 0.0000], [0.3333, 0.6667, 0.0000], [0.6667, 0.3333, 0.0000], [0.0000, 0.5000, 0.5000], [0.5000, 0.0000, 0.5000], [0.5000, 0.5000, 0.5000]], "delta_e_f_ev_per_atom": -0.653, "total_energy_ev_per_atom": -7.36}

# 3
{"formula": "NdB4Ru4", "functional": "PBE-GGA", "state": "relaxed", "lattice_angstrom": [[-3.7834, 3.7834, 7.5655], [3.7834, -3.7834, 7.5655], [3.7834, 3.7834, -7.5655]], "species": ["Nd", "Nd", "Nd", "Nd", "B", "B", "B", "B", "B", "B", "B", "B", "B", "B", "B", "B", "B", "B", "B", "B", "Ru", "Ru", "Ru", "Ru", "Ru", "Ru", "Ru", "Ru", "Ru", "Ru", "Ru", "Ru", "Ru", "Ru", "Ru", "Ru"], "frac_coords": [[0.1250, 0.3750, 0.7500], [0.3750, 0.1250, 0.2500], [0.6250, 0.8750, 0.7500], [0.8750, 0.6250, 0.2500], [0.0636, 0.1243, 0.2741], [0.1243, 0.3501, 0.0607], [0.1499, 0.3757, 0.4393], [0.2106, 0.9364, 0.5607], [0.2894, 0.8501, 0.7259], [0.3501, 0.7894, 0.2259], [0.3757, 0.4364, 0.2259], [0.4364, 0.7106, 0.0607], [0.5636, 0.2894, 0.9393], [0.6243, 0.5636, 0.7741], [0.6499, 0.2106, 0.7741], [0.7106, 0.1499, 0.2741], [0.7894, 0.0636, 0.4393], [0.8501, 0.6243, 0.5607], [0.8757, 0.6499, 0.9393], [0.9364, 0.8757, 0.7259], [0.0413, 0.8209, 0.9887], [0.0526, 0.0413, 0.7204], [0.1678, 0.6791, 0.7204], [0.1791, 0.6678, 0.2204], [0.3209, 0.5413, 0.4887], [0.3322, 0.0526, 0.5113], [0.4474, 0.1678, 0.9887], [0.4587, 0.4474, 0.7796], [0.5413, 0.5526, 0.2204], [0.5526, 0.8322, 0.0113], [0.6678, 0.9474, 0.4887], [0.6791, 0.4587, 0.5113], [0.8209, 0.3322, 0.7796], [0.8322, 0.3209, 0.2796], [0.9474, 0.9587, 0.2796], [0.9587, 0.1791, 0.0113]], "delta_e_f_ev_per_atom": -0.451, "total_energy_ev_per_atom": -8.07}

# 4
{"formula": "NdB2Ru2", "functional": "PBE-GGA", "state": "relaxed", "lattice_angstrom": [[0.0000, 4.5779, 5.0118], [3.2726, 0.0000, 5.0118], [3.2726, 4.5779, 0.0000]], "species": ["Nd", "Nd", "B", "B", "B", "B", "Ru", "Ru", "Ru", "Ru"], "frac_coords": [[0.1250, 0.1250, 0.1250], [0.8750, 0.8750, 0.8750], [0.1920, 0.5580, 0.1920], [0.4420, 0.8080, 0.4420], [0.5580, 0.1920, 0.5580], [0.8080, 0.4420, 0.8080], [0.2385, 0.2385, 0.5115], [0.4885, 0.4885, 0.7615], [0.5115, 0.5115, 0.2385], [0.7615, 0.7615, 0.4885]], "delta_e_f_ev_per_atom": -0.510, "total_energy_ev_per_atom": -7.85}